Computed, not measured: a relaxed structure of ZrNiSb at the meta-GGA r2SCAN level of DFT.

```
ZrNiSb
1.0
4.1492 0.0000 0.0000
0.0000 6.7634 0.0000
0.0000 0.0000 7.6134
Zr Sb Ni
4 4 4
direct
0.7500 0.5006 0.3069
0.2500 0.4994 0.6931
0.7500 0.0006 0.1931
0.2500 0.9994 0.8069
0.7500 0.2056 0.5920
0.7500 0.7056 0.9080
0.2500 0.2944 0.0920
0.2500 0.7944 0.4080
0.2500 0.1813 0.4104
0.2500 0.6813 0.0896
0.7500 0.8187 0.5896
0.7500 0.3187 0.9104
```

Results
- VASP energy (eV per atom) = -20.828
- SG = Pnma (62)
- total magnetization (μB per atom) = 0.000
- energy of formation (eV/atom) = -0.68